# La2Ti3CuO10 (PBE, optimized geometry)
data_La2Ti3CuO10
_symmetry_space_group_name_H-M 'I -4 m 2'
_symmetry_Int_Tables_number 119
_symmetry_space_group_name_Hall 'I -4 -2'
_cell_length_a 3.845
_cell_length_b 3.845
_cell_length_c 26.660
_cell_angle_alpha 90.00
_cell_angle_beta 90.00
_cell_angle_gamma 90.00
loop_
_atom_site_label
_atom_site_type_symbol
_atom_site_fract_x
_atom_site_fract_y
_atom_site_fract_z
La1 La 0.000 0.000 0.082
Ti1 Ti 0.000 0.000 0.340
Ti2 Ti 0.000 0.000 0.500
Cu1 Cu 0.000 0.500 0.250
O1 O 0.000 0.000 0.272
O2 O 0.000 0.000 0.427
O3 O 0.000 0.500 0.000
O4 O 0.000 0.500 0.145
O5 O 0.000 0.500 0.643
# Uncorrected energy, eV/atom: -8.324

# Ca4H16C8O25 (PBE, optimized geometry)
data_Ca4H16C8O25
_symmetry_space_group_name_H-M 'I 4'
_symmetry_Int_Tables_number 79
_cell_length_a 12.617
_cell_length_b 12.617
_cell_length_c 7.357
_cell_angle_alpha 90.00
_cell_angle_beta 90.00
_cell_angle_gamma 90.00
loop_
_symmetry_equiv_pos_as_xyz
'x,y,z'
'-y,x,z'
'-x,-y,z'
'y,-x,z'
'x+1/2,y+1/2,z+1/2'
'-y+1/2,x+1/2,z+1/2'
'-x+1/2,-y+1/2,z+1/2'
'y+1/2,-x+1/2,z+1/2'
loop_
_atom_site_label
_atom_site_type_symbol
_atom_site_fract_x
_atom_site_fract_y
_atom_site_fract_z
Ca1 Ca 0.200 0.297 0.000
H1 H 0.011 0.350 0.392
H2 H 0.012 0.353 0.606
H3 H 0.074 0.171 0.605
H4 H 0.075 0.166 0.392
C1 C 0.052 0.742 0.106
C2 C 0.052 0.743 0.894
O1 O 0.000 0.000 0.151
O2 O 0.028 0.623 0.499
O3 O 0.038 0.261 0.816
O4 O 0.038 0.266 0.184
O5 O 0.117 0.148 0.500
O6 O 0.141 0.747 0.817
O7 O 0.142 0.745 0.182
# Uncorrected energy, eV/atom: -6.284

Q: Among the records above, which one has the lowest uncorrected energy?
A: La2Ti3CuO10